Entry 1:
Ti10FeSb5: relaxed, PBE.

Cell: 7.872 7.872 7.872 Å, 96.32 96.32 141.26°
Fractional positions:
Ti  0.000  0.500  0.500
Ti  0.023  0.164  0.709
Ti  0.164  0.456  0.142
Ti  0.314  0.023  0.858
Ti  0.456  0.314  0.291
Ti  0.500  0.000  0.500
Ti  0.544  0.836  0.858
Ti  0.686  0.544  0.709
Ti  0.836  0.977  0.291
Ti  0.977  0.686  0.142
Fe  0.000  0.000  0.000
Sb  0.086  0.914  0.500
Sb  0.414  0.586  0.500
Sb  0.500  0.500  0.000
Sb  0.586  0.086  0.172
Sb  0.914  0.414  0.828

Computed properties:
- Energy of formation: -533 meV per atom
- Energy with MP2020 corrections: -116.59 eV per formula unit

=====

Entry 2:
PrYFe4: relaxed, PBE.

Cell: 5.238 5.238 5.238 Å, 60.00 60.00 60.00°
Fractional positions:
Pr  0.000  0.000  0.000
Y  0.250  0.250  0.250
Fe  0.125  0.625  0.625
Fe  0.625  0.125  0.625
Fe  0.625  0.625  0.125
Fe  0.625  0.625  0.625

Computed properties:
- Energy of formation: 33 meV per atom

=====

Entry 3:
VCu3Se2S2: relaxed, PBE.

Cell: 5.508 5.508 5.515 Å, 90.00 90.00 91.15°
Fractional positions:
V  0.000  0.000  0.000
Cu  0.000  0.000  0.509
Cu  0.000  0.500  0.987
Cu  0.500  0.000  0.987
Se  0.250  0.250  0.246
Se  0.750  0.750  0.246
S  0.230  0.770  0.766
S  0.770  0.230  0.766

Computed properties:
- Energy of formation: -673 meV per atom
- Energy with MP2020 corrections: -42.03 eV per formula unit

=====

Entry 4:
Rb3Zn: relaxed, PBE.

Cell: 7.722 7.722 7.722 Å, 132.02 132.02 70.20°
Fractional positions:
Rb  0.000  0.000  0.000
Rb  0.250  0.750  0.500
Rb  0.750  0.250  0.500
Zn  0.500  0.500  0.000

Computed properties:
- Energy of formation: 189 meV per atom

=====

Entry 5:
Tm2MgSe4: relaxed, PBE.

Cell: 7.481 7.481 7.481 Å, 110.39 110.39 107.65°
Fractional positions:
Tm  0.007  0.625  0.882
Tm  0.375  0.257  0.382
Tm  0.743  0.125  0.118
Tm  0.875  0.993  0.618
Mg  0.250  0.750  0.500
Mg  0.500  0.500  0.000
Se  0.009  0.879  0.260
Se  0.121  0.381  0.130
Se  0.131  0.371  0.630
Se  0.250  0.991  0.870
Se  0.500  0.869  0.240
Se  0.619  0.750  0.740
Se  0.629  0.259  0.760
Se  0.741  0.500  0.370

Computed properties:
- Energy of formation: -1847 meV per atom
- Energy with MP2020 corrections: -37.47 eV per formula unit

=====

Entry 6:
AlPt2: relaxed, PBE.

Cell: 16.498 3.960 5.510 Å, 90.00 90.00 90.00°
Fractional positions:
Al  0.000  0.000  0.000
Al  0.092  0.500  0.313
Al  0.250  0.500  0.796
Al  0.408  0.500  0.313
Al  0.500  0.000  0.000
Al  0.592  0.500  0.687
Al  0.750  0.500  0.204
Al  0.908  0.500  0.687
Pt  0.000  0.000  0.500
Pt  0.069  0.500  0.799
Pt  0.156  0.000  0.054
Pt  0.168  0.000  0.559
Pt  0.250  0.500  0.275
Pt  0.332  0.000  0.559
Pt  0.344  0.000  0.054
Pt  0.431  0.500  0.799
Pt  0.500  0.000  0.500
Pt  0.569  0.500  0.201
Pt  0.656  0.000  0.946
Pt  0.668  0.000  0.441
Pt  0.750  0.500  0.725
Pt  0.832  0.000  0.441
Pt  0.844  0.000  0.946
Pt  0.931  0.500  0.201

Computed properties:
- Energy of formation: -852 meV per atom

=====

Entry 7:
KH8N3: relaxed, PBE.

Cell: 5.987 5.987 6.592 Å, 90.00 90.00 109.49°
Fractional positions:
K  0.064  0.936  0.750
K  0.936  0.064  0.250
H  0.072  0.505  0.447
H  0.078  0.407  0.766
H  0.212  0.519  0.977
H  0.407  0.078  0.234
H  0.411  0.419  0.378
H  0.419  0.411  0.622
H  0.481  0.788  0.523
H  0.495  0.928  0.053
H  0.505  0.072  0.553
H  0.519  0.212  0.023
H  0.581  0.589  0.122
H  0.589  0.581  0.878
H  0.593  0.922  0.734
H  0.788  0.481  0.477
H  0.922  0.593  0.266
H  0.928  0.495  0.947
N  0.052  0.411  0.920
N  0.321  0.321  0.500
N  0.411  0.052  0.080
N  0.589  0.948  0.580
N  0.679  0.679  0.000
N  0.948  0.589  0.420

Computed properties:
- Energy of formation: -427 meV per atom
- Piezoelectric modulus e_max: 0.10 C/m²
- Energy with MP2020 corrections: -58.39 eV per formula unit

=====

Entry 8:
MgTe2MoW2Se2S2: relaxed, PBE.

Cell: 3.361 3.361 35.954 Å, 90.10 90.10 60.00°
Fractional positions:
Mg  0.000  0.000  0.000
Te  0.670  0.670  0.588
Te  0.671  0.671  0.693
Mo  0.003  0.003  0.110
W  0.004  0.004  0.640
W  0.670  0.670  0.867
Se  0.003  0.003  0.821
Se  0.004  0.004  0.914
S  0.669  0.669  0.067
S  0.669  0.669  0.151

Computed properties:
- Energy of formation: -464 meV per atom
- Energy with MP2020 corrections: -64.55 eV per formula unit

=====

Entry 9:
Na3CaZrP3O12: relaxed, PBE.

Cell: 16.077 9.299 9.141 Å, 90.00 125.58 90.00°
Fractional positions:
O  0.236  0.688  0.239
O  0.453  0.131  0.431
O  0.043  0.668  0.063
O  0.043  0.332  0.563
O  0.442  0.560  0.600
O  0.154  0.323  0.899
O  0.261  0.137  0.254
O  0.910  0.861  0.751
O  0.543  0.832  0.563
O  0.062  0.031  0.937
O  0.953  0.369  0.931
O  0.656  0.048  0.749
O  0.351  0.862  0.589
O  0.736  0.188  0.239
O  0.410  0.639  0.251
O  0.849  0.584  0.744
O  0.761  0.363  0.754
O  0.736  0.812  0.739
O  0.656  0.952  0.249
O  0.065  0.844  0.747
O  0.062  0.969  0.437
O  0.349  0.916  0.244
O  0.442  0.440  0.100
O  0.849  0.416  0.244
O  0.349  0.084  0.744
O  0.565  0.656  0.247
O  0.562  0.469  0.437
O  0.261  0.863  0.754
O  0.236  0.312  0.739
O  0.953  0.631  0.431
O  0.654  0.823  0.899
O  0.942  0.060  0.600
O  0.910  0.139  0.251
O  0.851  0.638  0.089
O  0.410  0.361  0.751
O  0.654  0.177  0.399
O  0.761  0.637  0.254
O  0.562  0.531  0.937
O  0.154  0.677  0.399
O  0.851  0.362  0.589
O  0.065  0.156  0.247
O  0.351  0.138  0.089
O  0.942  0.940  0.100
O  0.156  0.548  0.749
O  0.543  0.168  0.063
O  0.453  0.869  0.931
O  0.565  0.344  0.747
O  0.156  0.452  0.249
P  0.648  0.116  0.241
P  0.497  0.449  0.763
P  0.353  0.914  0.758
P  0.853  0.414  0.758
P  0.148  0.384  0.741
P  0.353  0.086  0.258
P  0.997  0.051  0.263
P  0.148  0.616  0.241
P  0.997  0.949  0.763
P  0.853  0.586  0.258
P  0.648  0.884  0.741
P  0.497  0.551  0.263
Ca  0.602  0.751  0.059
Ca  0.602  0.249  0.559
Ca  0.102  0.749  0.559
Ca  0.102  0.251  0.059
Na  0.004  0.392  0.243
Na  0.756  0.777  0.490
Na  0.504  0.108  0.743
Na  0.182  0.059  0.797
Na  0.256  0.277  0.490
Na  0.756  0.223  0.990
Na  0.682  0.441  0.297
Na  0.182  0.941  0.297
Na  0.004  0.608  0.743
Na  0.504  0.892  0.243
Na  0.256  0.723  0.990
Na  0.682  0.559  0.797
Zr  0.895  0.759  0.944
Zr  0.395  0.741  0.444
Zr  0.895  0.241  0.444
Zr  0.395  0.259  0.944

Computed properties:
- Energy of formation: -2965 meV per atom
- Energy with MP2020 corrections: -149.43 eV per formula unit

=====

Entry 10:
Sc4Ge6Rh7: relaxed, PBE.

Cell: 7.098 7.098 7.098 Å, 109.47 109.47 109.47°
Fractional positions:
Sc  0.000  0.000  0.500
Sc  0.000  0.500  0.000
Sc  0.500  0.000  0.000
Sc  0.500  0.500  0.500
Ge  0.000  0.314  0.314
Ge  0.000  0.686  0.686
Ge  0.314  0.000  0.314
Ge  0.314  0.314  0.000
Ge  0.686  0.000  0.686
Ge  0.686  0.686  0.000
Rh  0.000  0.000  0.000
Rh  0.250  0.500  0.750
Rh  0.250  0.750  0.500
Rh  0.500  0.250  0.750
Rh  0.500  0.750  0.250
Rh  0.750  0.250  0.500
Rh  0.750  0.500  0.250

Computed properties:
- Energy of formation: -923 meV per atom

=====

Entry 11:
LaHoS3: relaxed, PBE.

Cell: 11.106 4.020 21.734 Å, 90.00 101.42 90.00°
Fractional positions:
La  0.092  0.250  0.364
La  0.199  0.250  0.036
La  0.302  0.750  0.734
La  0.308  0.250  0.232
La  0.692  0.750  0.768
La  0.698  0.250  0.266
La  0.801  0.750  0.964
La  0.908  0.750  0.636
Ho  0.029  0.250  0.851
Ho  0.179  0.250  0.547
Ho  0.448  0.250  0.917
Ho  0.477  0.750  0.412
Ho  0.523  0.250  0.588
Ho  0.552  0.750  0.083
Ho  0.821  0.750  0.453
Ho  0.971  0.750  0.149
S  0.037  0.250  0.229
S  0.058  0.750  0.944
S  0.086  0.750  0.463
S  0.124  0.250  0.664
S  0.205  0.750  0.134
S  0.252  0.750  0.326
S  0.254  0.250  0.824
S  0.342  0.750  0.599
S  0.355  0.750  0.986
S  0.365  0.250  0.464
S  0.453  0.250  0.133
S  0.494  0.250  0.721
S  0.506  0.750  0.279
S  0.547  0.750  0.867
S  0.635  0.750  0.536
S  0.645  0.250  0.014
S  0.658  0.250  0.401
S  0.746  0.750  0.176
S  0.748  0.250  0.674
S  0.795  0.250  0.866
S  0.876  0.750  0.336
S  0.914  0.250  0.537
S  0.942  0.250  0.056
S  0.963  0.750  0.771

Computed properties:
- Energy of formation: -2446 meV per atom
- Energy with MP2020 corrections: -34.16 eV per formula unit

=====

Entry 12:
Cs2Pt: relaxed, PBE.

Cell: 5.836 5.836 8.215 Å, 90.00 90.00 120.00°
Fractional positions:
Cs  0.000  0.000  0.000
Cs  0.000  0.000  0.500
Cs  0.333  0.667  0.250
Cs  0.667  0.333  0.750
Pt  0.333  0.667  0.750
Pt  0.667  0.333  0.250

Computed properties:
- Energy of formation: 41 meV per atom

=====

Entry 13:
MgSi2: relaxed, PBE.

Cell: 5.290 5.290 6.286 Å, 116.02 116.02 44.25°
Fractional positions:
Mg  0.149  0.149  0.286
Mg  0.851  0.851  0.714
Si  0.146  0.146  0.720
Si  0.405  0.405  0.088
Si  0.595  0.595  0.912
Si  0.854  0.854  0.280

Computed properties:
- Energy of formation: 167 meV per atom
- Energy with MP2020 corrections: -11.95 eV per formula unit